Record 1
Entry from Materials Project: Al2Mo3 after structural relaxation (GGA-PBE).

Its energy relative to the elements is 0.32 eV/f.u. For the magnetization, the calculation gives 0.000 μB per formula unit.

```
Al2Mo3
1.0
8.998 0.000 0.000
0.000 7.628 0.000
0.000 3.020 9.327
Al Mo
16 24
direct
0.464 0.582 0.323
0.964 0.918 0.677
0.536 0.418 0.677
0.036 0.082 0.323
0.879 0.968 0.929
0.379 0.532 0.071
0.121 0.032 0.071
0.621 0.468 0.929
0.902 0.434 0.249
0.402 0.066 0.751
0.098 0.566 0.751
0.598 0.934 0.249
0.490 0.201 0.476
0.990 0.299 0.524
0.510 0.799 0.524
0.010 0.701 0.476
0.765 0.018 0.448
0.265 0.482 0.552
0.235 0.982 0.552
0.735 0.518 0.448
0.665 0.688 0.107
0.165 0.812 0.893
0.335 0.312 0.893
0.835 0.188 0.107
0.619 0.315 0.220
0.119 0.185 0.780
0.381 0.685 0.780
0.881 0.815 0.220
0.225 0.345 0.341
0.725 0.155 0.659
0.775 0.655 0.659
0.275 0.845 0.341
0.138 0.662 0.189
0.638 0.838 0.811
0.862 0.338 0.811
0.362 0.162 0.189
0.106 0.386 0.054
0.606 0.114 0.946
0.894 0.614 0.946
0.394 0.886 0.054
```

---

Record 2
Entry from Materials Project: Ba3Ti2O7 after structural relaxation (GGA-PBE).

Its energy relative to the elements is -40.87 eV/f.u. For the magnetization, the calculation gives 0.000 μB per formula unit.

```
Ba3Ti2O7
1.0
-8.387 3.917 6.145
-10.344 1.161 3.878
0.081 -2.606 3.125
Ba Ti O
3 2 7
direct
0.562 0.072 0.928
0.743 0.257 0.743
0.928 0.438 0.562
0.135 0.676 0.324
0.324 0.865 0.135
0.069 0.560 0.440
0.158 0.654 0.858
0.858 0.331 0.158
0.346 0.842 0.669
0.669 0.142 0.346
0.255 0.745 0.255
0.440 0.931 0.069
```

---

Record 3
Entry from Materials Project: LiSnPCO7 after structural relaxation (GGA-PBE).

The piezoelectric modulus e_max is 0.891 C/m2. Its energy relative to the elements is -24.82 eV/f.u. The excess energy over the best structure of this formula in the dataset is 0.0034 eV/atom. For the magnetization, the calculation gives 0.000 μB per formula unit.

```
LiSnPCO7
1.0
6.548 0.000 0.000
0.000 5.234 0.000
0.000 0.616 8.936
Li Sn P C O
2 2 2 2 14
direct
0.469 0.765 0.838
0.969 0.235 0.162
0.248 0.211 0.658
0.748 0.789 0.342
0.751 0.269 0.571
0.251 0.731 0.429
0.260 0.273 0.938
0.760 0.727 0.062
0.730 0.691 0.928
0.262 0.043 0.881
0.283 0.464 0.831
0.937 0.197 0.670
0.564 0.170 0.663
0.259 0.848 0.583
0.738 0.566 0.539
0.238 0.434 0.461
0.759 0.152 0.417
0.064 0.830 0.337
0.437 0.803 0.330
0.783 0.536 0.169
0.762 0.957 0.119
0.230 0.309 0.072
```